# BiP3Pb4O13 (r2SCAN, optimized geometry)
# formation enthalpy at 0 K = -2.015 eV/atom
data_BiP3Pb4O13
_chemical_formula_sum 'Bi4 P12 Pb16 O52'
_cell_length_a 13.232
_cell_length_b 10.055
_cell_length_c 9.529
_cell_angle_alpha 90.00
_cell_angle_beta 90.00
_cell_angle_gamma 90.00
_space_group_name_H-M_alt 'P n m a'
_space_group_IT_number 62
loop_
_space_group_symop_operation_xyz
'x,y,z'
'-x,-y,-z'
'-x+1/2,-y,z+1/2'
'x+1/2,y,-z+1/2'
'x+1/2,-y+1/2,-z+1/2'
'-x+1/2,y+1/2,z+1/2'
'-x,y+1/2,-z'
'x,-y+1/2,z'
loop_
_atom_site_label
_atom_site_fract_x
_atom_site_fract_y
_atom_site_fract_z
Bi1 0.229 0.250 0.211
P1 0.017 0.250 0.090
P2 0.172 0.538 0.430
Pb1 0.014 0.250 0.471
Pb2 0.068 0.059 0.800
Pb3 0.225 0.750 0.137
O1 0.001 0.750 0.071
O2 0.065 0.580 0.383
O3 0.084 0.750 0.834
O4 0.086 0.129 0.128
O5 0.106 0.250 0.671
O6 0.184 0.575 0.586
O7 0.185 0.115 0.416
O8 0.249 0.108 0.839